(1)
A relaxed structure of Nd2CuGe6, computed with GGA-PBE.

Values from the calculation:
Energy of formation ... -440 meV per atom
Space-group type ... Amm2, No. 38
Calculated density ... 6.965 g/cm3

```
Nd2CuGe6
1.0
4.164 0.000 0.000
0.000 2.057 10.966
0.000 -2.057 10.966
Nd Cu Ge
2 1 6
direct
0.000 0.000 0.000
0.000 0.333 0.333
0.500 0.556 0.556
0.000 0.614 0.614
0.000 0.727 0.727
0.500 0.115 0.115
0.500 0.229 0.229
0.500 0.448 0.448
0.500 0.879 0.879
```

(2)
A relaxed structure of Nd3Cu4Ge4, computed with GGA-PBE.

Values from the calculation:
Energy of formation ... -602 meV per atom
Space-group type ... Immm, No. 71
Calculated density ... 7.758 g/cm3

```
Nd3Cu4Ge4
1.0
-2.164 3.372 7.168
2.164 -3.372 7.168
2.164 3.372 -7.168
Nd Cu Ge
3 4 4
direct
0.000 0.000 0.000
0.368 0.868 0.500
0.632 0.132 0.500
0.020 0.334 0.686
0.352 0.666 0.686
0.648 0.334 0.314
0.980 0.666 0.314
0.216 0.216 0.000
0.311 0.500 0.811
0.689 0.500 0.189
0.784 0.784 0.000
```

(3)
A relaxed structure of Nd3CuGeS7, computed with GGA-PBE.

Values from the calculation:
Energy of formation ... -1753 meV per atom
Space-group type ... P6_3, No. 173
Calculated density ... 4.979 g/cm3
Maximum piezoelectric response ... 1.2 C/m2

```
Nd3CuGeS7
1.0
10.203 0.000 0.000
-5.101 8.836 0.000
0.000 0.000 5.870
Nd Cu Ge S
6 2 2 14
direct
0.128 0.356 0.000
0.229 0.872 0.000
0.356 0.229 0.500
0.644 0.771 0.000
0.771 0.128 0.500
0.872 0.644 0.500
0.000 0.000 0.468
0.000 0.000 0.968
0.333 0.667 0.582
0.667 0.333 0.082
0.091 0.253 0.481
0.104 0.583 0.737
0.162 0.909 0.481
0.253 0.162 0.981
0.333 0.667 0.207
0.417 0.521 0.737
0.479 0.896 0.737
0.521 0.104 0.237
0.583 0.479 0.237
0.667 0.333 0.707
0.747 0.838 0.481
0.838 0.091 0.981
0.896 0.417 0.237
0.909 0.747 0.981
```

(4)
A relaxed structure of Nd3CuGeSe7, computed with GGA-PBE.

Values from the calculation:
Energy of formation ... -1585 meV per atom
Space-group type ... P6_3, No. 173
Calculated density ... 6.164 g/cm3

```
Nd3CuGeSe7
1.0
10.643 0.000 0.000
-5.322 9.217 0.000
0.000 0.000 6.160
Nd Cu Ge Se
6 2 2 14
direct
0.131 0.775 0.000
0.225 0.355 0.000
0.355 0.131 0.500
0.645 0.869 0.000
0.775 0.645 0.500
0.869 0.225 0.500
0.000 0.000 0.467
0.000 0.000 0.967
0.333 0.667 0.584
0.667 0.333 0.084
0.095 0.838 0.480
0.098 0.519 0.743
0.162 0.257 0.480
0.257 0.095 0.980
0.333 0.667 0.201
0.421 0.902 0.743
0.481 0.579 0.743
0.519 0.421 0.243
0.579 0.098 0.243
0.667 0.333 0.701
0.743 0.905 0.480
0.838 0.743 0.980
0.902 0.481 0.243
0.905 0.162 0.980
```

(5)
A relaxed structure of U2Cu3NiGe4, computed with GGA-PBE.

Values from the calculation:
Energy of formation ... -236 meV per atom
Space-group type ... P-4m2, No. 115
Calculated density ... 9.999 g/cm3

```
U2Cu3NiGe4
1.0
4.054 0.000 0.000
0.000 4.054 0.000
0.000 0.000 10.268
U Cu Ni Ge
2 3 1 4
direct
0.000 0.500 0.248
0.500 0.000 0.752
0.000 0.000 0.000
0.000 0.000 0.500
0.500 0.500 0.500
0.500 0.500 0.000
0.000 0.500 0.633
0.000 0.500 0.875
0.500 0.000 0.125
0.500 0.000 0.367
```

(6)
A relaxed structure of NpCu2Ge2, computed with GGA-PBE.

Values from the calculation:
Energy of formation ... 29 meV per atom
Space-group type ... I4/mmm, No. 139
Calculated density ... 10.107 g/cm3

```
NpCu2Ge2
1.0
-2.002 2.002 5.221
2.002 -2.002 5.221
2.002 2.002 -5.221
Np Cu Ge
1 2 2
direct
0.000 0.000 0.000
0.250 0.750 0.500
0.750 0.250 0.500
0.383 0.383 0.000
0.617 0.617 0.000
```

(7)
A relaxed structure of CuGeO3, computed with GGA-PBE.

Values from the calculation:
Energy of formation ... -1530 meV per atom
Space-group type ... P2_1/c, No. 14
Calculated density ... 5.755 g/cm3

```
CuGeO3
1.0
4.927 0.000 0.000
0.000 6.856 0.000
-0.399 0.000 6.294
Cu Ge O
4 4 12
direct
0.000 0.000 0.000
0.000 0.000 0.500
0.000 0.500 0.000
0.000 0.500 0.500
0.494 0.202 0.253
0.494 0.298 0.753
0.506 0.702 0.247
0.506 0.798 0.747
0.147 0.119 0.254
0.147 0.381 0.754
0.330 0.696 0.501
0.330 0.804 0.001
0.344 0.044 0.682
0.344 0.456 0.182
0.656 0.544 0.818
0.656 0.956 0.318
0.670 0.196 0.999
0.670 0.304 0.499
0.853 0.619 0.246
0.853 0.881 0.746
```

(8)
A relaxed structure of CuGeO3, computed with GGA-PBE.

Values from the calculation:
Energy of formation ... -1599 meV per atom
Space-group type ... P2_12_12, No. 18
Calculated density ... 4.747 g/cm3

```
CuGeO3
1.0
8.746 0.000 0.000
0.000 9.884 0.000
0.000 0.000 11.924
Cu Ge O
16 16 48
direct
0.000 0.000 0.002
0.000 0.000 0.249
0.000 0.000 0.498
0.000 0.000 0.751
0.000 0.500 0.002
0.000 0.500 0.250
0.000 0.500 0.498
0.000 0.500 0.750
0.500 0.000 0.250
0.500 0.000 0.502
0.500 0.000 0.750
0.500 0.000 0.998
0.500 0.500 0.249
0.500 0.500 0.502
0.500 0.500 0.751
0.500 0.500 0.998
0.246 0.796 0.375
0.248 0.296 0.125
0.248 0.795 0.125
0.249 0.796 0.625
0.251 0.296 0.375
0.252 0.295 0.875
0.252 0.796 0.875
0.254 0.296 0.625
0.746 0.704 0.625
0.748 0.204 0.875
0.748 0.705 0.875
0.749 0.704 0.375
0.751 0.204 0.625
0.752 0.205 0.125
0.752 0.704 0.125
0.754 0.204 0.375
0.072 0.889 0.374
0.077 0.891 0.126
0.078 0.393 0.125
0.079 0.895 0.624
0.086 0.398 0.375
0.088 0.900 0.876
0.089 0.401 0.876
0.095 0.407 0.625
0.248 0.193 0.750
0.248 0.694 0.750
0.250 0.193 0.000
0.250 0.194 0.500
0.250 0.693 0.000
0.250 0.694 0.500
0.252 0.194 0.250
0.252 0.693 0.250
0.405 0.907 0.375
0.411 0.901 0.124
0.412 0.400 0.124
0.414 0.898 0.625
0.421 0.395 0.376
0.422 0.893 0.875
0.423 0.391 0.874
0.428 0.389 0.626
0.572 0.611 0.626
0.577 0.609 0.874
0.578 0.107 0.875
0.579 0.605 0.376
0.586 0.102 0.625
0.588 0.600 0.124
0.589 0.099 0.124
0.595 0.093 0.375
0.748 0.307 0.250
0.748 0.806 0.250
0.750 0.306 0.500
0.750 0.307 0.000
0.750 0.806 0.500
0.750 0.807 0.000
0.752 0.306 0.750
0.752 0.807 0.750
0.905 0.593 0.625
0.911 0.599 0.876
0.912 0.100 0.876
0.914 0.602 0.375
0.921 0.105 0.624
0.922 0.607 0.125
0.923 0.109 0.126
0.928 0.111 0.374
```

(9)
A relaxed structure of CuGeO3, computed with GGA-PBE.

Values from the calculation:
Energy of formation ... -1598 meV per atom
Space-group type ... Pbam, No. 55
Calculated density ... 4.792 g/cm3

```
CuGeO3
1.0
8.694 0.000 0.000
0.000 9.837 0.000
0.000 0.000 11.941
Cu Ge O
16 16 48
direct
0.000 0.000 0.000
0.000 0.000 0.248
0.000 0.000 0.500
0.000 0.000 0.752
0.000 0.500 0.000
0.000 0.500 0.251
0.000 0.500 0.500
0.000 0.500 0.749
0.500 0.000 0.000
0.500 0.000 0.251
0.500 0.000 0.500
0.500 0.000 0.749
0.500 0.500 0.000
0.500 0.500 0.248
0.500 0.500 0.500
0.500 0.500 0.752
0.247 0.207 0.125
0.247 0.207 0.875
0.250 0.206 0.375
0.250 0.206 0.625
0.250 0.706 0.375
0.250 0.706 0.625
0.253 0.707 0.125
0.253 0.707 0.875
0.747 0.293 0.125
0.747 0.293 0.875
0.750 0.294 0.375
0.750 0.294 0.625
0.750 0.794 0.375
0.750 0.794 0.625
0.753 0.793 0.125
0.753 0.793 0.875
0.073 0.112 0.124
0.073 0.112 0.876
0.081 0.605 0.375
0.081 0.605 0.625
0.083 0.103 0.374
0.083 0.103 0.626
0.092 0.597 0.126
0.092 0.597 0.874
0.248 0.809 0.000
0.248 0.810 0.250
0.248 0.810 0.750
0.250 0.308 0.500
0.250 0.808 0.500
0.252 0.309 0.000
0.252 0.310 0.250
0.252 0.310 0.750
0.408 0.097 0.126
0.408 0.097 0.874
0.417 0.603 0.374
0.417 0.603 0.626
0.419 0.105 0.375
0.419 0.105 0.625
0.427 0.612 0.124
0.427 0.612 0.876
0.573 0.388 0.124
0.573 0.388 0.876
0.581 0.895 0.375
0.581 0.895 0.625
0.583 0.397 0.374
0.583 0.397 0.626
0.592 0.903 0.126
0.592 0.903 0.874
0.748 0.690 0.250
0.748 0.690 0.750
0.748 0.691 0.000
0.750 0.192 0.500
0.750 0.692 0.500
0.752 0.190 0.250
0.752 0.190 0.750
0.752 0.191 0.000
0.908 0.403 0.126
0.908 0.403 0.874
0.917 0.897 0.374
0.917 0.897 0.626
0.919 0.395 0.375
0.919 0.395 0.625
0.927 0.888 0.124
0.927 0.888 0.876
```

(10)
A relaxed structure of CuGeO3, computed with GGA-PBE.

Values from the calculation:
Energy of formation ... -1591 meV per atom
Space-group type ... Pmma, No. 51
Calculated density ... 4.747 g/cm3

```
CuGeO3
1.0
8.746 0.000 0.000
0.000 2.981 0.000
0.000 0.000 4.942
Cu Ge O
2 2 6
direct
0.000 0.000 0.000
0.500 0.000 0.000
0.250 0.500 0.409
0.750 0.500 0.591
0.083 0.500 0.207
0.250 0.000 0.613
0.417 0.500 0.207
0.583 0.500 0.793
0.750 0.000 0.387
0.917 0.500 0.793
```

(11)
A relaxed structure of CuGeO3, computed with GGA-PBE.

Values from the calculation:
Energy of formation ... -1602 meV per atom
Space-group type ... Cmce, No. 64
Calculated density ... 4.771 g/cm3

```
CuGeO3
1.0
5.956 -4.940 0.000
5.956 4.940 0.000
0.000 0.000 8.714
Cu Ge O
8 8 24
direct
0.000 0.000 0.000
0.000 0.000 0.500
0.248 0.248 0.000
0.252 0.252 0.500
0.500 0.500 0.000
0.500 0.500 0.500
0.748 0.748 0.500
0.752 0.752 0.000
0.079 0.671 0.751
0.171 0.579 0.251
0.329 0.921 0.751
0.421 0.829 0.251
0.579 0.171 0.749
0.671 0.079 0.249
0.829 0.421 0.749
0.921 0.329 0.249
0.017 0.232 0.078
0.028 0.224 0.413
0.055 0.445 0.750
0.195 0.805 0.248
0.224 0.028 0.587
0.232 0.017 0.922
0.268 0.483 0.422
0.276 0.472 0.087
0.305 0.695 0.748
0.445 0.055 0.250
0.472 0.276 0.913
0.483 0.268 0.578
0.517 0.732 0.422
0.528 0.724 0.087
0.555 0.945 0.750
0.695 0.305 0.252
0.724 0.528 0.913
0.732 0.517 0.578
0.768 0.983 0.078
0.776 0.972 0.413
0.805 0.195 0.752
0.945 0.555 0.250
0.972 0.776 0.587
0.983 0.768 0.922
```

(12)
A relaxed structure of CuGeO3, computed with GGA-PBE.

Values from the calculation:
Energy of formation ... -1584 meV per atom
Space-group type ... P2_1/c, No. 14
Calculated density ... 4.947 g/cm3

```
CuGeO3
1.0
5.025 0.000 0.000
0.000 8.253 0.000
-0.010 0.000 5.963
Cu Ge O
4 4 12
direct
0.001 0.000 0.251
0.001 0.500 0.751
0.999 0.000 0.749
0.999 0.500 0.249
0.422 0.241 0.001
0.422 0.259 0.501
0.578 0.741 0.499
0.578 0.759 0.999
0.211 0.087 0.501
0.211 0.413 0.001
0.230 0.062 0.000
0.230 0.438 0.500
0.377 0.750 0.249
0.377 0.750 0.749
0.623 0.250 0.251
0.623 0.250 0.751
0.770 0.562 0.500
0.770 0.938 0.000
0.789 0.587 0.999
0.789 0.913 0.499
```